## HfMoSe (PBE)

Data for a relaxed structure of HfMoSe.

Unit cell a=4.4944 b=4.4944 c=4.4944 alpha=60.00 beta=60.00 gamma=60.00
With the nearest neighbours (Å) after each atom.
Element x y z (fractional)
Hf  0.0000  0.0000  0.0000  4 Mo 2.75, 4 Se 2.75
Mo  0.7500  0.7500  0.7500  4 Hf 2.75
Se  0.2500  0.2500  0.2500  4 Hf 2.75

Computed properties:
Space group: F-43m (216)
ΔH_f (0 K): 0.483 eV/atom

***

## Cs3Bi2Cl9 (PBE)

Data for a relaxed structure of Cs3Bi2Cl9.

Unit cell a=7.9881 b=7.9881 c=9.7267 alpha=90.00 beta=90.00 gamma=120.00
With the nearest neighbours (Å) after each atom.
Element x y z (fractional)
Cs  0.0000  0.0000  0.0000  9 Cl 3.74-3.99
Cs  0.3333  0.6667  0.3276  12 Cl 3.78-4.21
Cs  0.6667  0.3333  0.6724  12 Cl 3.78-4.21
Bi  0.3333  0.6667  0.8246  6 Cl 2.60-2.88
Bi  0.6667  0.3333  0.1754  6 Cl 2.60-2.88
Cl  0.0000  0.4680  0.0000  2 Bi 2.88
Cl  0.1503  0.7960  0.6769  1 Bi 2.60
Cl  0.2040  0.3543  0.6769  1 Bi 2.60
Cl  0.3543  0.2040  0.3231  1 Bi 2.60
Cl  0.4680  0.0000  0.0000  2 Bi 2.88
Cl  0.5320  0.5320  0.0000  2 Bi 2.88
Cl  0.6457  0.8497  0.6769  1 Bi 2.60
Cl  0.7960  0.1503  0.3231  1 Bi 2.60
Cl  0.8497  0.6457  0.3231  1 Bi 2.60

Computed properties:
Space group: P321 (150)
ΔH_f (0 K): -1.876 eV/atom

***

## Nb4Pb3O13 (PBE)

Data for a relaxed structure of Nb4Pb3O13.

Unit cell a=7.5566 b=7.5566 c=7.5566 alpha=60.39 beta=60.39 gamma=60.39
With the nearest neighbours (Å) after each atom.
Element x y z (fractional)
Nb  0.0000  0.0000  0.0000  6 O 2.01
Nb  0.9996  0.9996  0.5003  6 O 2.01-2.04
Nb  0.9996  0.5003  0.9996  6 O 2.01-2.04
Nb  0.5003  0.9996  0.9996  6 O 2.01-2.04
Pb  0.5023  0.5023  0.9912  1 O 2.22
Pb  0.5023  0.9912  0.5023  1 O 2.22
Pb  0.9912  0.5023  0.5023  1 O 2.22
O  0.0549  0.6883  0.6883  2 Nb 2.01
O  0.0645  0.0645  0.6868  2 Nb 2.01-2.02
O  0.0645  0.6868  0.0645  2 Nb 2.01-2.02
O  0.3111  0.3111  0.9451  2 Nb 2.01
O  0.3111  0.9451  0.3111  2 Nb 2.01
O  0.3149  0.9321  0.9321  2 Nb 2.01-2.04
O  0.6346  0.6346  0.6346  3 Pb 2.22
O  0.6868  0.0645  0.0645  2 Nb 2.01-2.02
O  0.6883  0.0549  0.6883  2 Nb 2.01
O  0.6883  0.6883  0.0549  2 Nb 2.01
O  0.9321  0.3149  0.9321  2 Nb 2.01-2.04
O  0.9321  0.9321  0.3149  2 Nb 2.01-2.04
O  0.9451  0.3111  0.3111  2 Nb 2.01

Computed properties:
Distance to the lowest polymorph of the same formula: 0.017 eV/atom
Space group: R3m (160)
ΔH_f (0 K): -2.627 eV/atom

***

## MgOs3 (PBE)

Data for a relaxed structure of MgOs3.

Unit cell a=5.5380 b=5.5380 c=4.4250 alpha=90.00 beta=90.00 gamma=120.00
With the nearest neighbours (Å) after each atom.
Element x y z (fractional)
Mg  0.3333  0.6667  0.2500  12 Os 2.71-2.77
Mg  0.6667  0.3333  0.7500  12 Os 2.71-2.77
Os  0.1700  0.3399  0.7500  4 Mg 2.71-2.77, 8 Os 2.71-2.82
Os  0.1700  0.8300  0.7500  4 Mg 2.71-2.77, 8 Os 2.71-2.82
Os  0.3399  0.1700  0.2500  4 Mg 2.71-2.77, 8 Os 2.71-2.82
Os  0.6601  0.8300  0.7500  4 Mg 2.71-2.77, 8 Os 2.71-2.82
Os  0.8300  0.1700  0.2500  4 Mg 2.71-2.77, 8 Os 2.71-2.82
Os  0.8300  0.6601  0.2500  4 Mg 2.71-2.77, 8 Os 2.71-2.82

Computed properties:
Space group: P6_3/mmc (194)
ΔH_f (0 K): 0.397 eV/atom

***

## Te2Ir (PBE)

Data for a relaxed structure of Te2Ir.

Unit cell a=10.2900 b=10.2900 c=5.4123 alpha=90.38 beta=90.38 gamma=22.79
With the nearest neighbours (Å) after each atom.
Element x y z (fractional)
Te  0.0443  0.0443  0.2227  3 Ir 2.63-2.68
Te  0.2807  0.2807  0.7617  3 Ir 2.70-2.77
Te  0.3788  0.3788  0.2871  3 Ir 2.66-2.70
Te  0.6212  0.6212  0.7129  3 Ir 2.66-2.70
Te  0.7193  0.7193  0.2383  3 Ir 2.70-2.77
Te  0.9557  0.9557  0.7773  3 Ir 2.63-2.68
Ir  0.1594  0.1594  0.9974  6 Te 2.63-2.77
Ir  0.5000  0.5000  0.5000  6 Te 2.68-2.70
Ir  0.8406  0.8406  0.0026  6 Te 2.63-2.77

Computed properties:
Space group: C2/m (12)
ΔH_f (0 K): -0.293 eV/atom

***

## LiBiP2O7 (PBE)

Data for a relaxed structure of LiBiP2O7.

Unit cell a=4.9755 b=8.8058 c=7.0202 alpha=90.00 beta=102.45 gamma=90.00
With the nearest neighbours (Å) after each atom.
Element x y z (fractional)
Li  0.1013  0.0000  0.2871  4 O 1.98-2.04
Li  0.8987  0.5000  0.7129  4 O 1.98-2.04
Bi  0.0728  0.8927  0.7493  3 O 2.21-2.32
Bi  0.9272  0.3927  0.2507  3 O 2.21-2.32
P  0.3624  0.2034  0.0098  4 O 1.53-1.62
P  0.3715  0.3013  0.5918  4 O 1.51-1.64
P  0.6285  0.8013  0.4082  4 O 1.51-1.64
P  0.6376  0.7034  0.9902  4 O 1.53-1.62
O  0.2085  0.4497  0.5880  1 P 1.54
O  0.2114  0.2045  0.4161  1 P 1.57
O  0.2205  0.0553  0.0438  1 P 1.53
O  0.2247  0.3516  0.0591  1 P 1.55
O  0.3250  0.8189  0.3988  1 P 1.51
O  0.3264  0.1968  0.7752  2 P 1.62-1.64
O  0.3274  0.7052  0.8996  1 P 1.54
O  0.6726  0.2052  0.1004  1 P 1.54
O  0.6736  0.6968  0.2248  2 P 1.62-1.64
O  0.6750  0.3189  0.6012  1 P 1.51
O  0.7753  0.8516  0.9409  1 P 1.55
O  0.7795  0.5553  0.9562  1 P 1.53
O  0.7886  0.7045  0.5839  1 P 1.57
O  0.7915  0.9497  0.4120  1 P 1.54

Computed properties:
Distance to the lowest polymorph of the same formula: 0.051 eV/atom
Space group: P2_1 (4)
ΔH_f (0 K): -2.486 eV/atom

***

## KPtBr3NO (PBE)

Data for a relaxed structure of KPtBr3NO.

Unit cell a=14.6882 b=19.6865 c=8.5500 alpha=90.00 beta=90.00 gamma=90.00
With the nearest neighbours (Å) after each atom.
Element x y z (fractional)
K  0.0000  0.0999  0.2500  2 O 2.90, 1 N 2.93
K  0.0000  0.9001  0.7500  2 O 2.90, 1 N 2.93
K  0.1738  0.4738  0.5201  2 O 2.90-3.23
K  0.1738  0.5262  0.0201  2 O 2.90-3.23
K  0.3262  0.0262  0.0201  2 O 2.90-3.23
K  0.3262  0.9738  0.5201  2 O 2.90-3.23
K  0.5000  0.4001  0.7500  2 O 2.90, 1 N 2.93
K  0.5000  0.5999  0.2500  2 O 2.90, 1 N 2.93
K  0.6738  0.0262  0.4799  2 O 2.90-3.23
K  0.6738  0.9738  0.9799  2 O 2.90-3.23
K  0.8262  0.4738  0.9799  2 O 2.90-3.23
K  0.8262  0.5262  0.4799  2 O 2.90-3.23
Pt  0.0000  0.3375  0.2500  1 N 1.75
Pt  0.0000  0.6625  0.7500  1 N 1.75
Pt  0.1944  0.1648  0.7387  1 N 1.71, 1 O 1.89
Pt  0.1944  0.8352  0.2387  1 N 1.71, 1 O 1.89
Pt  0.3056  0.3352  0.2387  1 N 1.71, 1 O 1.89
Pt  0.3056  0.6648  0.7387  1 N 1.71, 1 O 1.89
Pt  0.5000  0.1625  0.7500  1 N 1.75
Pt  0.5000  0.8375  0.2500  1 N 1.75
Pt  0.6944  0.3352  0.2613  1 N 1.71, 1 O 1.89
Pt  0.6944  0.6648  0.7613  1 N 1.71, 1 O 1.89
Pt  0.8056  0.1648  0.7613  1 N 1.71, 1 O 1.89
Pt  0.8056  0.8352  0.2613  1 N 1.71, 1 O 1.89
Br  0.0000  0.4682  0.2500  1 Pt 2.57
Br  0.0000  0.5317  0.7500  1 Pt 2.57
Br  0.0047  0.3450  0.5395  1 Pt 2.48
Br  0.0047  0.6550  0.0395  1 Pt 2.48
Br  0.1319  0.0349  0.7667  1 Pt 2.73, 2 O 2.79-2.86
Br  0.1319  0.9651  0.2667  1 Pt 2.73, 2 O 2.79-2.86
Br  0.1875  0.1587  0.4428  1 Pt 2.53
Br  0.1875  0.8413  0.9428  1 Pt 2.53
Br  0.2010  0.1687  0.0382  1 Pt 2.56
Br  0.2010  0.8313  0.5382  1 Pt 2.56
Br  0.2990  0.3313  0.5382  1 Pt 2.56
Br  0.2990  0.6687  0.0382  1 Pt 2.56
Br  0.3125  0.3413  0.9428  1 Pt 2.53
Br  0.3125  0.6587  0.4428  1 Pt 2.53
Br  0.3681  0.4651  0.2667  1 Pt 2.73, 2 O 2.79-2.86
Br  0.3681  0.5349  0.7667  1 Pt 2.73, 2 O 2.79-2.86
Br  0.4953  0.1550  0.0395  1 Pt 2.48
Br  0.4953  0.8450  0.5395  1 Pt 2.48
Br  0.5000  0.0318  0.7500  1 Pt 2.57
Br  0.5000  0.9682  0.2500  1 Pt 2.57
Br  0.5047  0.1550  0.4605  1 Pt 2.48
Br  0.5047  0.8450  0.9605  1 Pt 2.48
Br  0.6319  0.4651  0.2333  1 Pt 2.73, 2 O 2.79-2.86
Br  0.6319  0.5349  0.7333  1 Pt 2.73, 2 O 2.79-2.86
Br  0.6875  0.3413  0.5572  1 Pt 2.53
Br  0.6875  0.6587  0.0572  1 Pt 2.53
Br  0.7010  0.3313  0.9618  1 Pt 2.56
Br  0.7010  0.6687  0.4618  1 Pt 2.56
Br  0.7990  0.1687  0.4618  1 Pt 2.56
Br  0.7990  0.8313  0.9618  1 Pt 2.56
Br  0.8125  0.1587  0.0572  1 Pt 2.53
Br  0.8125  0.8413  0.5572  1 Pt 2.53
Br  0.8681  0.0349  0.7333  1 Pt 2.73, 2 O 2.79-2.86
Br  0.8681  0.9651  0.2333  1 Pt 2.73, 2 O 2.79-2.86
Br  0.9953  0.3450  0.9605  1 Pt 2.48
Br  0.9953  0.6550  0.4605  1 Pt 2.48
N  0.0000  0.2487  0.2500  1 Pt 1.75
N  0.0000  0.7513  0.7500  1 Pt 1.75
N  0.1493  0.2451  0.7410  1 Pt 1.71
N  0.1493  0.7549  0.2410  1 Pt 1.71
N  0.3507  0.2549  0.2410  1 Pt 1.71
N  0.3507  0.7451  0.7410  1 Pt 1.71
N  0.5000  0.2513  0.7500  1 Pt 1.75
N  0.5000  0.7487  0.2500  1 Pt 1.75
N  0.6493  0.2549  0.2590  1 Pt 1.71
N  0.6493  0.7451  0.7590  1 Pt 1.71
N  0.8507  0.2451  0.7590  1 Pt 1.71
N  0.8507  0.7549  0.2590  1 Pt 1.71
O  0.0000  0.0000  0.0000  4 Br 2.86-3.07, 2 K 2.90
O  0.0000  0.0000  0.5000  4 Br 2.86-3.07, 2 K 2.90
O  0.2043  0.3947  0.2389  1 Pt 1.89
O  0.2043  0.6053  0.7389  1 Pt 1.89
O  0.2957  0.1053  0.7389  1 Pt 1.89
O  0.2957  0.8947  0.2389  1 Pt 1.89
O  0.5000  0.5000  0.0000  4 Br 2.86-3.07, 2 K 2.90
O  0.5000  0.5000  0.5000  4 Br 2.86-3.07, 2 K 2.90
O  0.7043  0.1053  0.7611  1 Pt 1.89
O  0.7043  0.8947  0.2611  1 Pt 1.89
O  0.7957  0.3947  0.2611  1 Pt 1.89
O  0.7957  0.6053  0.7611  1 Pt 1.89

Computed properties:
Space group: Pbcn (60)
ΔH_f (0 K): -0.004 eV/atom

***

## Mg2TiO4 (PBE)

Data for a relaxed structure of Mg2TiO4.

Unit cell a=10.3273 b=10.3273 c=6.0804 alpha=90.13 beta=90.13 gamma=72.18
With the nearest neighbours (Å) after each atom.
Element x y z (fractional)
Mg  0.0000  0.0000  0.0000  6 O 2.06-2.12
Mg  0.9998  0.4995  0.5009  6 O 2.05-2.14
Mg  0.9997  0.7513  0.7489  6 O 2.07-2.14
Mg  0.1845  0.1883  0.7593  4 O 1.98-2.01
Mg  0.1911  0.6868  0.2532  4 O 1.99-2.01
Mg  0.2487  0.0003  0.2511  6 O 2.07-2.14
Mg  0.3119  0.3118  0.2443  4 O 1.99-2.01
Mg  0.3132  0.8089  0.7468  4 O 1.99-2.01
Mg  0.5005  0.0002  0.4991  6 O 2.05-2.14
Mg  0.5009  0.2478  0.7488  6 O 2.06-2.13
Mg  0.5033  0.4967  0.5000  6 O 2.08-2.13
Mg  0.6881  0.1841  0.2568  4 O 1.98-2.02
Mg  0.6882  0.6881  0.7557  4 O 1.99-2.01
Mg  0.7522  0.4991  0.2512  6 O 2.06-2.13
Mg  0.8117  0.8155  0.2407  4 O 1.98-2.01
Mg  0.8159  0.3119  0.7432  4 O 1.98-2.02
Ti  0.0061  0.9939  0.5000  6 O 1.91-2.09
Ti  0.2527  0.4973  0.7326  5 O 1.90-2.08
Ti  0.4891  0.0026  0.9977  6 O 1.90-2.09
Ti  0.5027  0.7473  0.2674  5 O 1.90-2.08
Ti  0.5093  0.4907  0.0000  6 O 1.91-2.09
Ti  0.7484  0.0016  0.7543  6 O 1.95-2.06
Ti  0.9974  0.5109  0.0023  6 O 1.90-2.09
Ti  0.9984  0.2516  0.2457  6 O 1.95-2.06
O  0.1092  0.3787  0.2414  2 Ti 1.99-2.08, 2 Mg 1.99-2.11
O  0.1093  0.8896  0.2649  1 Ti 1.91, 3 Mg 2.01-2.10
O  0.1104  0.8907  0.7351  1 Ti 1.91, 3 Mg 2.01-2.10
O  0.1128  0.1257  0.4838  2 Ti 2.00-2.06, 2 Mg 2.01-2.13
O  0.1159  0.1292  0.0333  1 Ti 1.95, 3 Mg 1.98-2.07
O  0.1246  0.3916  0.7637  2 Ti 1.97-2.09, 2 Mg 2.00-2.14
O  0.1246  0.6148  0.9838  2 Ti 1.94-2.14, 2 Mg 2.00-2.14
O  0.1327  0.6174  0.5309  1 Ti 1.91, 3 Mg 2.00-2.10
O  0.3694  0.3794  0.5271  1 Ti 1.90, 3 Mg 2.01-2.11
O  0.3782  0.3862  0.9798  2 Ti 1.98-2.08, 2 Mg 1.99-2.12
O  0.3793  0.6063  0.7604  2 Ti 1.98-2.09, 2 Mg 1.99-2.13
O  0.3826  0.8673  0.4691  1 Ti 1.91, 3 Mg 2.00-2.10
O  0.3852  0.8754  0.0162  2 Ti 1.94-2.14, 2 Mg 2.00-2.14
O  0.3881  0.1093  0.7636  1 Ti 1.90, 3 Mg 2.01-2.10
O  0.3903  0.1088  0.2361  1 Ti 1.91, 3 Mg 2.00-2.10
O  0.3937  0.6207  0.2396  2 Ti 1.98-2.09, 2 Mg 1.99-2.13
O  0.6084  0.8754  0.2363  2 Ti 1.97-2.09, 2 Mg 2.00-2.14
O  0.6119  0.3876  0.2373  1 Ti 1.91, 3 Mg 2.01-2.11
O  0.6124  0.3881  0.7627  1 Ti 1.91, 3 Mg 2.01-2.11
O  0.6138  0.6218  0.0202  2 Ti 1.98-2.08, 2 Mg 1.99-2.12
O  0.6206  0.6306  0.4729  1 Ti 1.90, 3 Mg 2.01-2.11
O  0.6213  0.8908  0.7586  2 Ti 1.99-2.08, 2 Mg 1.99-2.11
O  0.6254  0.1111  0.9822  2 Ti 1.98-2.05, 2 Mg 2.02-2.13
O  0.6287  0.1165  0.5314  1 Ti 1.97, 3 Mg 1.98-2.06
O  0.8708  0.8841  0.9667  1 Ti 1.95, 3 Mg 1.98-2.07
O  0.8744  0.8872  0.5162  2 Ti 2.00-2.06, 2 Mg 2.01-2.13
O  0.8771  0.1088  0.7410  2 Ti 1.97-2.09, 2 Mg 2.00-2.12
O  0.8835  0.3713  0.4686  1 Ti 1.97, 3 Mg 1.98-2.06
O  0.8889  0.3746  0.0178  2 Ti 1.98-2.05, 2 Mg 2.02-2.13
O  0.8912  0.1229  0.2590  2 Ti 1.97-2.09, 2 Mg 2.00-2.12
O  0.8912  0.6097  0.7639  1 Ti 1.91, 3 Mg 2.00-2.10
O  0.8907  0.6119  0.2364  1 Ti 1.90, 3 Mg 2.01-2.10

Computed properties:
Distance to the lowest polymorph of the same formula: 0.006 eV/atom
Space group: C2 (5)
ΔH_f (0 K): -3.276 eV/atom

***

## NaMgH2SO5 (PBE)

Data for a relaxed structure of NaMgH2SO5.

Unit cell a=6.5161 b=6.0801 c=7.1829 alpha=90.00 beta=110.20 gamma=90.00
With the nearest neighbours (Å) after each atom.
Element x y z (fractional)
Na  0.0972  0.2500  0.2254  4 O 2.37-2.45
Na  0.9028  0.7500  0.7746  4 O 2.37-2.45
Mg  0.5000  0.0000  0.0000  2 O 2.09
Mg  0.5000  0.5000  0.0000  2 O 2.09
H  0.4171  0.6268  0.5961  1 O 0.98
H  0.4171  0.8732  0.5961  1 O 0.98
H  0.5829  0.1268  0.4039  1 O 0.98
H  0.5829  0.3732  0.4039  1 O 0.98
S  0.0689  0.2500  0.7394  4 O 1.47-1.53
S  0.9311  0.7500  0.2606  4 O 1.47-1.53
O  0.1425  0.2500  0.5677  1 S 1.47
O  0.1632  0.0496  0.8698  1 S 1.53
O  0.1632  0.4504  0.8698  1 S 1.53
O  0.1701  0.7500  0.3118  1 S 1.47
O  0.4975  0.2500  0.3259  2 H 0.98
O  0.5025  0.7500  0.6741  2 H 0.98
O  0.8299  0.2500  0.6882  1 S 1.47
O  0.8368  0.5496  0.1302  1 S 1.53
O  0.8368  0.9504  0.1302  1 S 1.53
O  0.8575  0.7500  0.4323  1 S 1.47

Computed properties:
Space group: P2_1/m (11)
ΔH_f (0 K): -1.672 eV/atom

***

## RbI4N3 (PBE)

Data for a relaxed structure of RbI4N3.

Unit cell a=8.6659 b=8.6659 c=8.6659 alpha=138.54 beta=138.54 gamma=60.08
With the nearest neighbours (Å) after each atom.
Element x y z (fractional)
Rb  0.0000  0.0000  0.0000  4 I 3.07
I  0.0000  0.5000  0.5000  2 Rb 3.07, 2 N 3.07
I  0.2562  0.2562  0.0000  4 N 3.07
I  0.5000  0.0000  0.5000  2 Rb 3.07, 2 N 3.07
I  0.7438  0.7438  0.0000  4 N 3.07
N  0.2500  0.7500  0.5000  4 I 3.07
N  0.5000  0.5000  0.0000  4 I 3.07
N  0.7500  0.2500  0.5000  4 I 3.07

Computed properties:
Space group: I4/mmm (139)
ΔH_f (0 K): 1.663 eV/atom

***

## Ho2AlFe3 (PBE)

Data for a relaxed structure of Ho2AlFe3.

Unit cell a=5.1823 b=5.1823 c=5.1823 alpha=59.93 beta=59.93 gamma=59.93
With the nearest neighbours (Å) after each atom.
Element x y z (fractional)
Ho  0.1223  0.1223  0.1223  9 Fe 3.02-3.07, 3 Al 3.04, 4 Ho 3.11-3.19
Ho  0.8777  0.8777  0.8777  9 Fe 3.02-3.07, 3 Al 3.04, 4 Ho 3.11-3.19
Al  0.5000  0.5000  0.5000  6 Fe 2.59
Fe  0.0000  0.5000  0.5000  4 Fe 2.59, 2 Al 2.59
Fe  0.5000  0.0000  0.5000  4 Fe 2.59, 2 Al 2.59
Fe  0.5000  0.5000  0.0000  4 Fe 2.59, 2 Al 2.59

Computed properties:
Space group: R-3m (166)
ΔH_f (0 K): -0.194 eV/atom

***

## Al3BC3 (PBE)

Data for a relaxed structure of Al3BC3.

Unit cell a=3.4275 b=3.4275 c=15.8877 alpha=90.00 beta=90.00 gamma=120.00
With the nearest neighbours (Å) after each atom.
Element x y z (fractional)
Al  0.0000  0.0000  0.2500  3 C 1.98
Al  0.0000  0.0000  0.7500  3 C 1.98
Al  0.3333  0.6667  0.1221  4 C 2.03-2.04
Al  0.3333  0.6667  0.3779  4 C 2.03-2.04
Al  0.6667  0.3333  0.6221  4 C 2.03-2.04
Al  0.6667  0.3333  0.8779  4 C 2.03-2.04
B  0.0000  0.0000  0.0000  2 C 1.44
B  0.0000  0.0000  0.5000  2 C 1.44
C  0.0000  0.0000  0.0908  1 B 1.44
C  0.0000  0.0000  0.4092  1 B 1.44
C  0.0000  0.0000  0.5908  1 B 1.44
C  0.0000  0.0000  0.9092  1 B 1.44
C  0.3333  0.6667  0.2500  5 Al 1.98-2.03
C  0.6667  0.3333  0.7500  5 Al 1.98-2.03

Computed properties:
Distance to the lowest polymorph of the same formula: 0.003 eV/atom
Space group: P6_3/mmc (194)
ΔH_f (0 K): -0.089 eV/atom